1.
Computed, not measured: an optimized crystal structure of LaSmB12 at the GGA-PBE level of DFT.

Cell and atoms, written as POSCAR:
```
LaSmB12
1.0
0.000 4.138 4.138
4.138 0.000 4.138
4.138 4.138 0.000
La Sm B
1 1 12
direct
0.500 0.500 0.500
0.000 0.000 0.000
0.400 0.100 0.100
0.900 0.600 0.600
0.400 0.400 0.100
0.900 0.900 0.600
0.100 0.400 0.100
0.600 0.900 0.600
0.100 0.100 0.400
0.600 0.600 0.900
0.400 0.100 0.400
0.900 0.600 0.900
0.100 0.400 0.400
0.600 0.900 0.900
```

Computed properties:
As for the calculated total energy: -6.921 eV per atom. The calculation puts the density at 4.909 g/cm³.


2.
Computed, not measured: an optimized crystal structure of CuC4O4 at the GGA-PBE level of DFT.

Cell and atoms, written as POSCAR:
```
CuC4O4
1.0
-3.931 -3.826 -4.411
4.266 -0.258 -5.593
2.258 -5.361 -0.527
Cu C O
2 8 8
direct
0.913 0.087 0.250
0.087 0.913 0.750
0.972 0.642 0.380
0.054 0.567 0.599
0.567 0.054 0.099
0.358 0.028 0.120
0.642 0.972 0.880
0.433 0.946 0.901
0.946 0.433 0.401
0.028 0.358 0.620
0.064 0.191 0.776
0.635 0.125 0.223
0.365 0.875 0.777
0.875 0.365 0.277
0.936 0.809 0.224
0.809 0.936 0.724
0.191 0.064 0.276
0.125 0.635 0.723
```

Computed properties:
As for the calculated total energy: -7.262 eV per atom. The calculation puts the density at 2.284 g/cm³.


3.
Computed, not measured: an optimized crystal structure of DyNiSn4 at the GGA-PBE level of DFT.

Cell and atoms, written as POSCAR:
```
DyNiSn4
1.0
2.201 -14.170 0.000
2.201 14.170 0.000
0.000 0.000 4.549
Dy Ni Sn
2 2 8
direct
0.806 0.194 0.500
0.194 0.806 0.500
0.551 0.449 0.000
0.449 0.551 0.000
0.608 0.392 0.500
0.392 0.608 0.500
0.714 0.286 0.000
0.286 0.714 0.000
0.891 0.109 0.000
0.109 0.891 0.000
0.000 0.000 0.000
0.500 0.500 0.500
```

Computed properties:
As for the calculated total energy: -4.751 eV per atom. The calculation puts the density at 8.147 g/cm³.


4.
Computed, not measured: an optimized crystal structure of MgSi at the GGA-PBE level of DFT.

Cell and atoms, written as POSCAR:
```
MgSi
1.0
-4.201 -2.577 3.026
2.743 -5.174 -0.288
7.046 -0.255 12.043
Mg Si
12 12
direct
0.197 0.844 0.018
0.135 0.916 0.352
0.822 0.919 0.724
0.690 0.579 0.058
0.618 0.625 0.379
0.388 0.690 0.670
0.667 0.040 0.140
0.613 0.055 0.468
0.299 0.109 0.805
0.171 0.282 0.132
0.112 0.387 0.425
0.783 0.404 0.778
0.955 0.275 0.965
0.843 0.272 0.285
0.098 0.290 0.631
0.454 0.293 0.961
0.438 0.285 0.282
0.528 0.275 0.617
0.358 0.684 0.204
0.841 0.631 0.559
0.200 0.595 0.865
0.947 0.676 0.208
0.126 0.959 0.546
0.717 0.985 0.916
```

Computed properties:
As for the calculated total energy: -3.437 eV per atom. The calculation puts the density at 2.267 g/cm³.


Repeat the fourth record exactly.
Computed, not measured: an optimized crystal structure of MgSi at the GGA-PBE level of DFT.

Cell and atoms, written as POSCAR:
```
MgSi
1.0
-4.201 -2.577 3.026
2.743 -5.174 -0.288
7.046 -0.255 12.043
Mg Si
12 12
direct
0.197 0.844 0.018
0.135 0.916 0.352
0.822 0.919 0.724
0.690 0.579 0.058
0.618 0.625 0.379
0.388 0.690 0.670
0.667 0.040 0.140
0.613 0.055 0.468
0.299 0.109 0.805
0.171 0.282 0.132
0.112 0.387 0.425
0.783 0.404 0.778
0.955 0.275 0.965
0.843 0.272 0.285
0.098 0.290 0.631
0.454 0.293 0.961
0.438 0.285 0.282
0.528 0.275 0.617
0.358 0.684 0.204
0.841 0.631 0.559
0.200 0.595 0.865
0.947 0.676 0.208
0.126 0.959 0.546
0.717 0.985 0.916
```

Computed properties:
As for the calculated total energy: -3.437 eV per atom. The calculation puts the density at 2.267 g/cm³.